# AcF3

A geometry-optimized AcF3 structure (meta-GGA r2SCAN, Materials Project).

Lattice parameters (Å, degrees): 4.399 4.399 4.399 126.15 126.15 79.64
Sites, in units of the cell vectors:
Ac: 0.000 0.000 0.000
F: 0.750 0.250 0.500
F: 0.250 0.750 0.500
F: 0.500 0.500 0.000

Values from the calculation:
E_form: -4.468 eV/atom
Volume: 53.63 Å³/cell
Total moment: 0.05 μB/cell